Here is an optimized crystal structure of SnPbN2 from Materials Project. Energies are from PBE.

Values from the calculation:
For the total energy, the calculation gives -44.90 eV per cell. The formation energy is 305 meV/atom.

Unit cell a=4.0409 b=4.0409 c=8.2326 alpha=90.00 beta=90.00 gamma=90.00
Closest atoms and distances in Å follow each position.
Sites, in units of the cell vectors:
Sn  0.2500  0.2500  0.1049  5 N 2.07-2.20
Sn  0.7500  0.7500  0.8951  5 N 2.07-2.20
Pb  0.2500  0.2500  0.6333  1 N 2.28
Pb  0.7500  0.7500  0.3667  1 N 2.28
N  0.2500  0.2500  0.3559  1 Sn 2.07, 1 Pb 2.28
N  0.2500  0.7500  0.0000  4 Sn 2.20
N  0.7500  0.2500  0.0000  4 Sn 2.20
N  0.7500  0.7500  0.6441  1 Sn 2.07, 1 Pb 2.28

=====

Here is an optimized crystal structure of Na3CuBAsO7 from Materials Project. Energies are from PBE.

Values from the calculation:
For the total energy, the calculation gives -148.56 eV per cell. The formation energy is -1927 meV/atom.

Unit cell a=5.2843 b=6.6059 c=9.1716 alpha=90.00 beta=91.37 gamma=90.00
Closest atoms and distances in Å follow each position.
Sites, in units of the cell vectors:
Na  0.2411  0.2500  0.0790  4 O 2.38-2.49
Na  0.2453  0.0003  0.7490  5 O 2.26-2.50
Na  0.2453  0.4997  0.7490  5 O 2.26-2.50
Na  0.7547  0.9997  0.2510  5 O 2.26-2.50
Na  0.7547  0.5003  0.2510  5 O 2.26-2.50
Na  0.7589  0.7500  0.9210  4 O 2.38-2.49
Cu  0.2211  0.7500  0.3342  6 O 2.00-2.12
Cu  0.7789  0.2500  0.6658  6 O 2.00-2.12
B  0.2662  0.7500  0.0617  3 O 1.35-1.39
B  0.7338  0.2500  0.9383  3 O 1.35-1.39
As  0.2988  0.2500  0.4239  4 O 1.70-1.74
As  0.7012  0.7500  0.5761  4 O 1.70-1.74
O  0.0347  0.7500  0.1306  1 B 1.39
O  0.1514  0.2500  0.5860  1 As 1.70
O  0.2148  0.0513  0.3084  1 As 1.74
O  0.2148  0.4487  0.3084  1 As 1.74
O  0.2895  0.7500  0.9157  1 B 1.35
O  0.3757  0.7500  0.5453  1 As 1.74
O  0.4725  0.7500  0.1587  1 B 1.39
O  0.5275  0.2500  0.8413  1 B 1.39
O  0.6243  0.2500  0.4547  1 As 1.74
O  0.7105  0.2500  0.0843  1 B 1.35
O  0.7852  0.5513  0.6916  1 As 1.74
O  0.7852  0.9487  0.6916  1 As 1.74
O  0.8486  0.7500  0.4140  1 As 1.70
O  0.9653  0.2500  0.8694  1 B 1.39

=====

Here is an optimized crystal structure of Na6Ti8Si7S5O48 from Materials Project. Energies are from PBE.

Values from the calculation:
For the total energy, the calculation gives -1629.23 eV per cell. The formation energy is -2821 meV/atom.

Unit cell a=8.7632 b=15.2400 c=22.4779 alpha=90.04 beta=90.02 gamma=90.03
Closest atoms and distances in Å follow each position.
Sites, in units of the cell vectors:
Na  0.0000  0.0000  0.0000  6 O 2.50-2.62
Na  0.9997  0.0008  0.5027  6 O 2.47-2.66
Na  0.0005  0.3388  0.1639  6 O 2.47-2.74
Na  0.1388  0.1661  0.5863  4 O 2.29-2.54
Na  0.3559  0.6674  0.0831  4 O 2.29-2.52
Na  0.4933  0.4998  0.5028  6 O 2.48-2.68
Na  0.4954  0.5017  0.9990  6 O 2.55-2.66
Na  0.4948  0.8399  0.6651  6 O 2.50-2.72
Na  0.4960  0.1651  0.3363  6 O 2.46-2.65
Na  0.4993  0.1658  0.8300  6 O 2.46-2.67
Na  0.5003  0.8404  0.1681  6 O 2.48-2.67
Na  0.6293  0.6683  0.5827  4 O 2.33-2.44
Na  0.6378  0.3331  0.9166  4 O 2.33-2.52
Na  0.8590  0.8335  0.4183  4 O 2.33-2.51
Na  0.8672  0.1683  0.0819  5 O 2.34-2.60
Na  0.9933  0.6662  0.3320  6 O 2.48-2.62
Na  0.9958  0.3373  0.6709  6 O 2.45-2.69
Na  0.9988  0.6654  0.8353  6 O 2.49-2.63
Ti  0.0014  0.6665  0.6798  3 O 1.79-1.85
Ti  0.0015  0.6668  0.1886  5 O 1.87-2.08
Ti  0.0068  0.3323  0.5243  4 O 1.84-2.04
Ti  0.0203  0.6643  0.9780  4 O 1.84-1.93
Ti  0.4750  0.1643  0.4800  4 O 1.80-1.96
Ti  0.4826  0.1648  0.6934  5 O 1.84-1.96
Ti  0.4873  0.8353  0.0211  4 O 1.88-1.98
Ti  0.4934  0.1653  0.1796  3 O 1.78-1.86
Ti  0.4971  0.8340  0.8130  6 O 1.84-2.06
Ti  0.5004  0.4926  0.6418  4 O 1.83-1.98
Ti  0.5036  0.1667  0.9855  4 O 1.84-2.00
Ti  0.5043  0.4924  0.1449  3 O 1.82-1.95
Ti  0.5041  0.5003  0.8560  4 O 1.86-2.05
Ti  0.5080  0.8359  0.5254  5 O 1.89-1.99
Ti  0.5147  0.5078  0.3539  2 O 1.77-1.82
Ti  0.5203  0.8388  0.3158  3 O 1.80-1.86
Ti  0.9760  0.3320  0.8120  4 O 1.85-1.95
Ti  0.9875  0.3358  0.0229  5 O 1.89-2.00
Ti  0.9883  0.0132  0.8509  3 O 1.79-1.87
Ti  0.9914  0.0006  0.3565  5 O 1.87-2.07
Ti  0.9913  0.6672  0.4869  3 O 1.83-1.85
Ti  0.9930  0.0002  0.6487  4 O 1.85-2.01
Ti  0.9934  0.9929  0.1410  4 O 1.83-1.96
Ti  0.9988  0.3338  0.3140  4 O 1.82-2.01
Si  0.1364  0.8096  0.0830  4 O 1.61-1.67
Si  0.1372  0.1483  0.7498  4 O 1.62-1.65
Si  0.1394  0.1904  0.4166  4 O 1.63-1.65
Si  0.1403  0.5216  0.0854  4 O 1.60-1.66
Si  0.2079  0.1681  0.0823  4 O 1.62-1.66
Si  0.2871  0.6677  0.5827  4 O 1.62-1.65
Si  0.3532  0.0216  0.5860  4 O 1.61-1.67
Si  0.3578  0.6905  0.9160  4 O 1.63-1.65
Si  0.3613  0.3094  0.5838  4 O 1.60-1.68
Si  0.6384  0.0197  0.0835  4 O 1.62-1.64
Si  0.6376  0.3570  0.7498  4 O 1.61-1.66
Si  0.6378  0.9829  0.4190  4 O 1.61-1.67
Si  0.6394  0.3122  0.0839  4 O 1.62-1.64
Si  0.6430  0.6895  0.4188  4 O 1.61-1.67
Si  0.7049  0.0004  0.7495  4 O 1.60-1.65
Si  0.7925  0.5004  0.2491  4 O 1.61-1.67
Si  0.8523  0.1879  0.9187  4 O 1.63-1.65
Si  0.8559  0.5200  0.5841  4 O 1.62-1.65
Si  0.8570  0.8569  0.2499  4 O 1.63-1.66
Si  0.8591  0.8161  0.5847  4 O 1.61-1.65
Si  0.8597  0.4809  0.9166  4 O 1.62-1.68
S  0.1401  0.8560  0.7519  4 O 1.47-1.51
S  0.1425  0.4785  0.4165  4 O 1.48-1.51
S  0.2094  0.5023  0.7507  4 O 1.47-1.51
S  0.2130  0.8337  0.4162  4 O 1.45-1.53
S  0.2822  0.3336  0.9160  4 O 1.44-1.53
S  0.2855  0.0016  0.2507  4 O 1.47-1.50
S  0.3522  0.9786  0.9164  4 O 1.47-1.50
S  0.3545  0.3563  0.2516  4 O 1.48-1.50
S  0.3545  0.6461  0.2505  4 O 1.48-1.50
S  0.6434  0.6459  0.7508  4 O 1.47-1.51
S  0.7097  0.3349  0.4169  4 O 1.46-1.51
S  0.7121  0.6683  0.0834  4 O 1.45-1.52
S  0.7811  0.1681  0.5837  4 O 1.43-1.53
S  0.7860  0.8348  0.9174  4 O 1.47-1.50
S  0.8516  0.1461  0.2509  4 O 1.47-1.51
O  0.0600  0.7659  0.0248  1 Si 1.61
O  0.0631  0.2370  0.4751  1 Si 1.64
O  0.0631  0.5708  0.1425  1 Si 1.63
O  0.0643  0.1002  0.6909  1 Si 1.64
O  0.0671  0.0931  0.4059  1 Si 1.63
O  0.0673  0.2455  0.7593  1 Si 1.62
O  0.0691  0.4257  0.0754  1 Si 1.60
O  0.0704  0.9085  0.0912  1 Si 1.63
O  0.0715  0.4368  0.3624  1 S 1.51
O  0.0721  0.7672  0.7453  1 S 1.49
O  0.0726  0.5662  0.4215  1 S 1.48
O  0.0748  0.8965  0.8054  1 S 1.47
O  0.0981  0.0834  0.0945  1 Si 1.63
O  0.0999  0.2539  0.0765  1 Si 1.62
O  0.1023  0.2551  0.3593  1 Si 1.65, 1 Ti 1.82
O  0.1084  0.7562  0.4208  1 S 1.50
O  0.1091  0.9135  0.4104  1 S 1.53
O  0.1102  0.0835  0.8078  1 Si 1.65, 1 Ti 1.80
O  0.1107  0.5827  0.7454  1 S 1.51
O  0.1143  0.4233  0.7563  1 S 1.47
O  0.1146  0.4240  0.4700  1 S 1.48
O  0.1165  0.7470  0.1412  1 Si 1.63
O  0.1187  0.9097  0.6973  1 S 1.49
O  0.1197  0.5872  0.0275  1 Si 1.65, 1 Ti 1.84
O  0.1670  0.0171  0.5914  1 Si 1.64
O  0.1720  0.3201  0.5739  1 Si 1.68, 1 Ti 1.84
O  0.1725  0.6836  0.9223  1 Si 1.63
O  0.1761  0.6508  0.5250  1 Si 1.64
O  0.1775  0.6843  0.6412  1 Si 1.65, 1 Ti 1.79
O  0.1842  0.3483  0.2572  1 S 1.50
O  0.1853  0.9837  0.9112  1 S 1.47
O  0.1858  0.6530  0.2465  1 S 1.49
O  0.1906  0.0159  0.3046  1 S 1.49
O  0.1913  0.9896  0.1969  1 S 1.47
O  0.1924  0.3210  0.8628  1 S 1.44
O  0.1929  0.3491  0.9708  1 S 1.48
O  0.3023  0.8490  0.4698  1 S 1.45
O  0.3051  0.4908  0.6968  1 S 1.48
O  0.3046  0.8212  0.3617  1 S 1.48
O  0.3057  0.5169  0.8046  1 S 1.49
O  0.3102  0.4856  0.4086  1 S 1.48
O  0.3114  0.8473  0.7577  1 S 1.51
O  0.3177  0.1839  0.1415  1 Si 1.66, 1 Ti 1.78
O  0.3195  0.1508  0.0253  1 Si 1.63
O  0.3217  0.1540  0.7455  1 Si 1.62
O  0.3243  0.1835  0.4219  1 Si 1.63
O  0.3251  0.8193  0.0749  1 Si 1.67
O  0.3279  0.5188  0.0953  1 Si 1.66
O  0.3758  0.2473  0.6409  1 Si 1.60
O  0.3779  0.0864  0.5269  1 Si 1.67, 1 Ti 1.80
O  0.3776  0.4108  0.1969  1 S 1.50
O  0.3815  0.9211  0.2568  1 S 1.49
O  0.3825  0.5893  0.3040  1 S 1.50
O  0.3833  0.9236  0.9706  1 S 1.50
O  0.3860  0.0812  0.2457  1 S 1.50
O  0.3872  0.2562  0.9220  1 S 1.50
O  0.3867  0.4136  0.9115  1 S 1.53
O  0.3920  0.7553  0.8595  1 Si 1.64
O  0.3943  0.7538  0.5761  1 Si 1.62
O  0.3976  0.5837  0.5937  1 Si 1.62
O  0.4198  0.3993  0.3047  1 S 1.48
O  0.4208  0.6063  0.1963  1 S 1.48
O  0.4210  0.7347  0.2576  1 S 1.48
O  0.4229  0.0659  0.9226  1 S 1.47
O  0.4233  0.9374  0.8631  1 S 1.49
O  0.4238  0.2683  0.2456  1 S 1.48
O  0.4248  0.4092  0.5902  1 Si 1.63
O  0.4273  0.9261  0.5740  1 Si 1.62
O  0.4281  0.5927  0.9070  1 Si 1.63
O  0.4307  0.7368  0.9758  1 Si 1.65
O  0.4338  0.0694  0.6417  1 Si 1.61
O  0.4342  0.2670  0.5238  1 Si 1.63
O  0.5625  0.0671  0.1419  1 Si 1.64, 1 Ti 1.82
O  0.5623  0.5918  0.4082  1 Si 1.67, 1 Ti 1.82
O  0.5628  0.4096  0.0913  1 Si 1.64, 1 Ti 1.82
O  0.5639  0.2703  0.0240  1 Si 1.63
O  0.5652  0.4055  0.8094  1 Si 1.66
O  0.5650  0.9349  0.3594  1 Si 1.65, 1 Ti 1.80
O  0.5656  0.7316  0.4772  1 Si 1.61
O  0.5667  0.2605  0.7419  1 Si 1.61
O  0.5670  0.9230  0.0736  1 Si 1.62
O  0.5712  0.0810  0.4250  1 Si 1.61
O  0.5728  0.7357  0.7586  1 S 1.51
O  0.5747  0.6100  0.6963  1 S 1.47
O  0.5990  0.9123  0.7617  1 Si 1.65
O  0.6040  0.0872  0.7431  1 Si 1.60
O  0.6048  0.5907  0.0912  1 S 1.52
O  0.6059  0.4225  0.6933  1 Si 1.64, 1 Ti 1.83
O  0.6083  0.4141  0.4086  1 S 1.51
O  0.6084  0.7469  0.0783  1 S 1.51
O  0.6107  0.7525  0.3601  1 Si 1.66, 1 Ti 1.83
O  0.6131  0.2489  0.1419  1 Si 1.64
O  0.6125  0.5911  0.8041  1 S 1.48
O  0.6149  0.2560  0.4214  1 S 1.46
O  0.6174  0.0861  0.0268  1 Si 1.64
O  0.6170  0.9140  0.4735  1 Si 1.62
O  0.6649  0.1817  0.9236  1 Si 1.65
O  0.6687  0.8473  0.2568  1 Si 1.66, 1 Ti 1.86
O  0.6696  0.4868  0.9086  1 Si 1.68
O  0.6712  0.5174  0.5915  1 Si 1.63
O  0.6733  0.4859  0.1935  1 Si 1.64
O  0.6736  0.8190  0.5783  1 Si 1.63
O  0.6770  0.5144  0.3073  1 Si 1.67, 1 Ti 1.77
O  0.6837  0.1561  0.2467  1 S 1.48
O  0.6865  0.8227  0.8635  1 S 1.50
O  0.6886  0.8499  0.9708  1 S 1.49
O  0.6921  0.1546  0.5286  1 S 1.48
O  0.6949  0.1838  0.6367  1 S 1.43
O  0.8006  0.6526  0.0302  1 S 1.45
O  0.8024  0.6830  0.1381  1 S 1.48
O  0.8030  0.3520  0.4700  1 S 1.47
O  0.8078  0.3237  0.3627  1 S 1.50
O  0.8112  0.6560  0.7466  1 S 1.48
O  0.8164  0.0136  0.8079  1 Si 1.65, 1 Ti 1.79
O  0.8179  0.9820  0.6927  1 Si 1.64
O  0.8233  0.0174  0.0917  1 Si 1.63
O  0.8230  0.3199  0.0789  1 Si 1.62
O  0.8236  0.3509  0.7562  1 Si 1.64
O  0.8258  0.9868  0.4081  1 Si 1.67
O  0.8299  0.6813  0.4217  1 Si 1.64
O  0.8774  0.5857  0.5266  1 Si 1.65, 1 Ti 1.83
O  0.8777  0.7544  0.9227  1 S 1.47
O  0.8793  0.4152  0.9740  1 Si 1.64
O  0.8797  0.2521  0.8610  1 Si 1.64
O  0.8814  0.7484  0.6411  1 Si 1.65
O  0.8826  0.0909  0.3041  1 S 1.49
O  0.8854  0.9126  0.9105  1 S 1.48
O  0.8874  0.2475  0.5766  1 S 1.53
O  0.8874  0.9216  0.1933  1 Si 1.63
O  0.8877  0.0907  0.5881  1 S 1.51
O  0.8945  0.5879  0.2430  1 Si 1.61
O  0.8953  0.4122  0.2610  1 Si 1.64
O  0.9205  0.1100  0.1964  1 S 1.47
O  0.9222  0.2360  0.2589  1 S 1.51
O  0.9235  0.5798  0.9266  1 Si 1.62
O  0.9274  0.2332  0.9776  1 Si 1.63
O  0.9282  0.4237  0.5727  1 Si 1.62
O  0.9293  0.7695  0.5242  1 Si 1.65
O  0.9287  0.9043  0.3096  1 Si 1.65
O  0.9304  0.7596  0.2416  1 Si 1.63
O  0.9310  0.0905  0.9114  1 Si 1.64
O  0.9334  0.4335  0.8588  1 Si 1.62
O  0.9330  0.5672  0.6420  1 Si 1.63
O  0.9336  0.9120  0.5910  1 Si 1.61